Material: K2TiF6
Method: DFT, PBE-GGA
State: relaxed

Results
For the formation energy from the elements, the calculation gives -3.538 eV per atom. The volume comes out at 15.6 A^3/atom. The calculation puts the uncorrected energy at -5.6309 eV/atom.

Cell and atoms, written as CIF:
```
data_K2TiF6
_chemical_formula_sum 'K2 Ti1 F6'
_space_group_name_H-M_alt 'P -3 m 1'
_space_group_IT_number 164
_space_group_name_Hall '-P 3 2"'
_cell_length_a 5.8300
_cell_length_b 5.8300
_cell_length_c 4.7553
_cell_angle_alpha 90.00
_cell_angle_beta 90.00
_cell_angle_gamma 120.00
loop_
_atom_site_label
_atom_site_type_symbol
_atom_site_fract_x
_atom_site_fract_y
_atom_site_fract_z
K1 K 0.3333 0.6667 0.1945
Ti1 Ti 0.0000 0.0000 0.5000
F1 F 0.1557 0.3114 0.7227
```

=====

Material: La2AlGe3
Method: DFT, PBE-GGA
State: relaxed

Results
For the formation energy from the elements, the calculation gives -0.683 eV per atom. The volume comes out at 24.1 A^3/atom. The calculation puts the uncorrected energy at -5.2641 eV/atom.

Cell and atoms, written as CIF:
```
data_La2AlGe3
_chemical_formula_sum 'La4 Al2 Ge6'
_space_group_name_H-M_alt 'I m m 2'
_space_group_IT_number 44
_cell_length_a 4.327
_cell_length_b 4.456
_cell_length_c 14.975
_cell_angle_alpha 90.00
_cell_angle_beta 90.00
_cell_angle_gamma 90.00
loop_
_space_group_symop_operation_xyz
'x,y,z'
'-x,-y,z'
'-x,y,z'
'x,-y,z'
'x+1/2,y+1/2,z+1/2'
'-x+1/2,-y+1/2,z+1/2'
'-x+1/2,y+1/2,z+1/2'
'x+1/2,-y+1/2,z+1/2'
loop_
_atom_site_label
_atom_site_type_symbol
_atom_site_fract_x
_atom_site_fract_y
_atom_site_fract_z
La1 La 0.000 0.000 0.000
La2 La 0.000 0.500 0.243
Al1 Al 0.000 0.500 0.830
Ge1 Ge 0.000 0.000 0.412
Ge2 Ge 0.000 0.000 0.581
Ge3 Ge 0.000 0.500 0.664
```

=====

Material: Ta5P3
Method: DFT, PBE-GGA
State: relaxed

Results
For the formation energy from the elements, the calculation gives -0.757 eV per atom. The volume comes out at 15.7 A^3/atom. The calculation puts the uncorrected energy at -10.1977 eV/atom.

Cell and atoms, written as CIF:
```
data_Ta5P3
_chemical_formula_sum 'Ta40 P24'
_space_group_name_H-M_alt 'P n m a'
_space_group_IT_number 62
_cell_length_a 25.529
_cell_length_b 3.418
_cell_length_c 11.553
_cell_angle_alpha 90.00
_cell_angle_beta 90.00
_cell_angle_gamma 90.00
loop_
_space_group_symop_operation_xyz
'x,y,z'
'-x,-y,-z'
'-x+1/2,-y,z+1/2'
'x+1/2,y,-z+1/2'
'x+1/2,-y+1/2,-z+1/2'
'-x+1/2,y+1/2,z+1/2'
'-x,y+1/2,-z'
'x,-y+1/2,z'
loop_
_atom_site_label
_atom_site_type_symbol
_atom_site_fract_x
_atom_site_fract_y
_atom_site_fract_z
Ta1 Ta 0.000 0.250 0.108
Ta2 Ta 0.037 0.250 0.416
Ta3 Ta 0.045 0.250 0.691
Ta4 Ta 0.099 0.750 0.065
Ta5 Ta 0.125 0.750 0.784
Ta6 Ta 0.138 0.750 0.342
Ta7 Ta 0.153 0.250 0.556
Ta8 Ta 0.177 0.250 0.956
Ta9 Ta 0.225 0.750 0.121
Ta10 Ta 0.239 0.250 0.344
P1 P 0.049 0.750 0.249
P2 P 0.073 0.250 0.914
P3 P 0.078 0.750 0.550
P4 P 0.156 0.250 0.184
P5 P 0.198 0.250 0.745
P6 P 0.221 0.750 0.502
```

=====

Material: UCrC2
Method: DFT, PBE-GGA
State: relaxed

Results
For the formation energy from the elements, the calculation gives -0.205 eV per atom. The volume comes out at 11.5 A^3/atom. The calculation puts the uncorrected energy at -10.0559 eV/atom.

Cell and atoms, written as CIF:
```
data_UCrC2
_chemical_formula_sum 'U4 Cr4 C8'
_space_group_name_H-M_alt 'P n m a'
_space_group_IT_number 62
_cell_length_a 5.472
_cell_length_b 3.138
_cell_length_c 10.716
_cell_angle_alpha 90.00
_cell_angle_beta 90.00
_cell_angle_gamma 90.00
loop_
_space_group_symop_operation_xyz
'x,y,z'
'-x,-y,-z'
'-x+1/2,-y,z+1/2'
'x+1/2,y,-z+1/2'
'x+1/2,-y+1/2,-z+1/2'
'-x+1/2,y+1/2,z+1/2'
'-x,y+1/2,-z'
'x,-y+1/2,z'
loop_
_atom_site_label
_atom_site_type_symbol
_atom_site_fract_x
_atom_site_fract_y
_atom_site_fract_z
U1 U 0.079 0.250 0.141
Cr1 Cr 0.076 0.750 0.401
C1 C 0.166 0.250 0.754
C2 C 0.228 0.250 0.490
```

=====

Material: CrSiTe3
Method: DFT, PBE-GGA
State: relaxed

Results
For the formation energy from the elements, the calculation gives -0.439 eV per atom. The volume comes out at 30.8 A^3/atom. The calculation puts the uncorrected energy at -5.0874 eV/atom.

Cell and atoms, written as CIF:
```
data_CrSiTe3
_chemical_formula_sum 'Cr6 Si6 Te18'
_space_group_name_H-M_alt 'R -3'
_space_group_IT_number 148
_space_group_name_Hall '-R 3'
_cell_length_a 6.8380
_cell_length_b 6.8380
_cell_length_c 22.8015
_cell_angle_alpha 90.00
_cell_angle_beta 90.00
_cell_angle_gamma 120.00
loop_
_atom_site_label
_atom_site_type_symbol
_atom_site_fract_x
_atom_site_fract_y
_atom_site_fract_z
Cr1 Cr 0.0000 0.0000 0.1663
Si1 Si 0.0000 0.0000 0.4499
Te1 Te 0.0008 0.6375 0.4244
```

=====

Material: Hf2TcIr
Method: DFT, PBE-GGA
State: relaxed

Results
For the formation energy from the elements, the calculation gives -0.860 eV per atom. The volume comes out at 17.4 A^3/atom. The calculation puts the uncorrected energy at -10.6385 eV/atom.

Cell and atoms, written as CIF:
```
data_Hf2TcIr
_chemical_formula_sum 'Hf8 Tc4 Ir4'
_space_group_name_H-M_alt 'F m -3 m'
_space_group_IT_number 225
_space_group_name_Hall '-F 4 2 3'
_cell_length_a 6.532
_cell_length_b 6.532
_cell_length_c 6.532
_cell_angle_alpha 90.00
_cell_angle_beta 90.00
_cell_angle_gamma 90.00
loop_
_atom_site_label
_atom_site_type_symbol
_atom_site_fract_x
_atom_site_fract_y
_atom_site_fract_z
Hf1 Hf 0.250 0.250 0.250
Tc1 Tc 0.000 0.000 0.000
Ir1 Ir 0.000 0.000 0.500
```

=====

Material: MgSnRh2
Method: DFT, PBE-GGA
State: relaxed

Results
For the formation energy from the elements, the calculation gives -0.640 eV per atom. The volume comes out at 16.0 A^3/atom. The calculation puts the uncorrected energy at -5.7247 eV/atom.

Cell and atoms, written as CIF:
```
data_MgSnRh2
_chemical_formula_sum 'Mg4 Sn4 Rh8'
_space_group_name_H-M_alt 'F m -3 m'
_space_group_IT_number 225
_space_group_name_Hall '-F 4 2 3'
_cell_length_a 6.354
_cell_length_b 6.354
_cell_length_c 6.354
_cell_angle_alpha 90.00
_cell_angle_beta 90.00
_cell_angle_gamma 90.00
loop_
_atom_site_label
_atom_site_type_symbol
_atom_site_fract_x
_atom_site_fract_y
_atom_site_fract_z
Mg1 Mg 0.000 0.000 0.000
Sn1 Sn 0.000 0.000 0.500
Rh1 Rh 0.250 0.250 0.250
```

=====

Material: CoMo
Method: DFT, PBE-GGA
State: relaxed

Results
For the formation energy from the elements, the calculation gives 0.256 eV per atom. The volume comes out at 13.5 A^3/atom. The calculation puts the uncorrected energy at -8.7210 eV/atom.

Cell and atoms, written as CIF:
```
data_CoMo
_chemical_formula_sum 'Co1 Mo1'
_space_group_name_H-M_alt 'P m -3 m'
_space_group_IT_number 221
_space_group_name_Hall '-P 4 2 3'
_cell_length_a 3.000
_cell_length_b 3.000
_cell_length_c 3.000
_cell_angle_alpha 90.00
_cell_angle_beta 90.00
_cell_angle_gamma 90.00
loop_
_atom_site_label
_atom_site_type_symbol
_atom_site_fract_x
_atom_site_fract_y
_atom_site_fract_z
Co1 Co 0.000 0.000 0.000
Mo1 Mo 0.500 0.500 0.500
```

=====

Material: BaDy2PdO5
Method: DFT, PBE-GGA
State: relaxed

Results
For the formation energy from the elements, the calculation gives -3.064 eV per atom. The volume comes out at 14.3 A^3/atom. The calculation puts the uncorrected energy at -7.2437 eV/atom.

Cell and atoms, written as CIF:
```
data_BaDy2PdO5
_chemical_formula_sum 'Ba2 Dy4 Pd2 O10'
_space_group_name_H-M_alt 'P 4/m b m'
_space_group_IT_number 127
_space_group_name_Hall '-P 4 2ab'
_cell_length_a 6.581
_cell_length_b 6.581
_cell_length_c 5.924
_cell_angle_alpha 90.00
_cell_angle_beta 90.00
_cell_angle_gamma 90.00
loop_
_atom_site_label
_atom_site_type_symbol
_atom_site_fract_x
_atom_site_fract_y
_atom_site_fract_z
Ba1 Ba 0.000 0.000 0.000
Dy1 Dy 0.174 0.326 0.500
Pd1 Pd 0.000 0.500 0.000
O1 O 0.000 0.000 0.500
O2 O 0.141 0.641 0.260
```

=====

Material: CeAl8O16
Method: DFT, PBE-GGA
State: relaxed

Results
For the formation energy from the elements, the calculation gives -2.436 eV per atom. The volume comes out at 15.0 A^3/atom. The calculation puts the uncorrected energy at -6.5994 eV/atom.

Cell and atoms, written as CIF:
```
data_CeAl8O16
_chemical_formula_sum 'Ce1 Al8 O16'
_space_group_name_H-M_alt 'P m m 2'
_space_group_IT_number 25
_cell_length_a 3.590
_cell_length_b 3.676
_cell_length_c 28.494
_cell_angle_alpha 90.00
_cell_angle_beta 90.00
_cell_angle_gamma 90.00
loop_
_space_group_symop_operation_xyz
'x,y,z'
'-x,-y,z'
'-x,y,z'
'x,-y,z'
loop_
_atom_site_label
_atom_site_type_symbol
_atom_site_fract_x
_atom_site_fract_y
_atom_site_fract_z
Ce1 Ce 0.000 0.000 0.000
Al1 Al 0.500 0.500 0.072
Al2 Al 0.500 0.500 0.194
Al3 Al 0.500 0.500 0.316
Al4 Al 0.500 0.500 0.439
Al5 Al 0.500 0.500 0.562
Al6 Al 0.500 0.500 0.685
Al7 Al 0.500 0.500 0.806
Al8 Al 0.500 0.500 0.928
O1 O 0.000 0.500 0.061
O2 O 0.000 0.500 0.314
O3 O 0.000 0.500 0.438
O4 O 0.000 0.500 0.562
O5 O 0.000 0.500 0.938
O6 O 0.500 0.000 0.060
O7 O 0.500 0.000 0.688
O8 O 0.500 0.000 0.939
O9 O 0.500 0.500 0.000
O10 O 0.500 0.500 0.137
O11 O 0.500 0.500 0.251
O12 O 0.500 0.500 0.377
O13 O 0.500 0.500 0.501
O14 O 0.500 0.500 0.624
O15 O 0.500 0.500 0.749
O16 O 0.500 0.500 0.863
```

=====

Material: LaAgSb2
Method: DFT, PBE-GGA
State: relaxed

Results
For the formation energy from the elements, the calculation gives -0.845 eV per atom. The volume comes out at 27.0 A^3/atom. The calculation puts the uncorrected energy at -4.7556 eV/atom.

Cell and atoms, written as CIF:
```
data_LaAgSb2
_chemical_formula_sum 'La2 Ag2 Sb4'
_space_group_name_H-M_alt 'P 4/n m m'
_space_group_IT_number 129
_cell_length_a 4.440
_cell_length_b 4.440
_cell_length_c 10.953
_cell_angle_alpha 90.00
_cell_angle_beta 90.00
_cell_angle_gamma 90.00
loop_
_space_group_symop_operation_xyz
'x,y,z'
'-x,-y,-z'
'-y+1/2,x,z'
'y+1/2,-x,-z'
'-x+1/2,-y+1/2,z'
'x+1/2,y+1/2,-z'
'y,-x+1/2,z'
'-y,x+1/2,-z'
'x+1/2,-y,-z'
'-x+1/2,y,z'
'-y,-x,-z'
'y,x,z'
'-x,y+1/2,-z'
'x,-y+1/2,z'
'y+1/2,x+1/2,-z'
'-y+1/2,-x+1/2,z'
loop_
_atom_site_label
_atom_site_type_symbol
_atom_site_fract_x
_atom_site_fract_y
_atom_site_fract_z
La1 La 0.250 0.250 0.240
Ag1 Ag 0.250 0.750 0.500
Sb1 Sb 0.250 0.250 0.672
Sb2 Sb 0.250 0.750 0.000
```

=====

Material: Tm5Te4Se
Method: DFT, PBE-GGA
State: relaxed

Results
For the formation energy from the elements, the calculation gives -1.320 eV per atom. The volume comes out at 27.2 A^3/atom. The calculation puts the uncorrected energy at -5.1176 eV/atom.

Cell and atoms, written as CIF:
```
data_Tm5Te4Se
_chemical_formula_sum 'Tm10 Te8 Se2'
_space_group_name_H-M_alt 'C 1 2/m 1'
_space_group_IT_number 12
_cell_length_a 14.350
_cell_length_b 4.223
_cell_length_c 10.302
_cell_angle_alpha 90.00
_cell_angle_beta 119.21
_cell_angle_gamma 90.00
loop_
_space_group_symop_operation_xyz
'x,y,z'
'-x,-y,-z'
'-x,y,-z'
'x,-y,z'
'x+1/2,y+1/2,z'
'-x+1/2,-y+1/2,-z'
'-x+1/2,y+1/2,-z'
'x+1/2,-y+1/2,z'
loop_
_atom_site_label
_atom_site_type_symbol
_atom_site_fract_x
_atom_site_fract_y
_atom_site_fract_z
Tm1 Tm 0.000 0.000 0.000
Tm2 Tm 0.084 0.500 0.412
Tm3 Tm 0.184 0.000 0.770
Te1 Te 0.109 0.500 0.911
Te2 Te 0.194 0.000 0.308
Se1 Se 0.000 0.000 0.500
```